Entry 1:
Computed, not measured: crystalline Co3O4F2 at its relaxed geometry at the PBE+U level of DFT.

Lattice parameters (Å, degrees): 4.619 5.496 7.448 84.55 86.24 83.78
Fractional coordinates of all 18 atoms:
O 0.817 0.389 0.432
O 0.696 0.207 0.102
O 0.700 0.878 0.433
O 0.313 0.136 0.562
O 0.688 0.529 0.769
O 0.806 0.695 0.114
O 0.303 0.788 0.900
O 0.306 0.467 0.233
F 0.180 0.944 0.236
F 0.188 0.641 0.550
F 0.179 0.283 0.891
F 0.797 0.023 0.767
Co 0.987 0.980 0.001
Co 0.528 0.516 0.010
Co 0.993 0.329 0.660
Co 0.494 0.827 0.663
Co 0.982 0.663 0.328
Co 0.545 0.201 0.349

- density (g/cm3) = 4.96
- energy of formation (meV/atom) = -1394
- space-group type = No. 1
- offset from the most stable computed form (meV per atom) = 2.1

Entry 2:
Computed, not measured: crystalline CoOF at its relaxed geometry at the PBE+U level of DFT.

Lattice parameters (Å, degrees): 2.949 4.647 18.510 83.38 90.00 90.00
Fractional coordinates of all 24 atoms:
Co 0.500 0.481 0.122
Co 0.000 0.950 0.998
Co 0.500 0.510 0.626
Co 0.000 0.989 0.250
Co 0.500 0.556 0.876
Co 0.000 0.029 0.752
Co 0.500 0.496 0.375
Co 0.000 0.002 0.500
F 0.500 0.141 0.045
F 0.500 0.831 0.704
F 0.000 0.294 0.925
F 0.500 0.199 0.549
F 0.500 0.234 0.799
F 0.500 0.794 0.200
F 0.500 0.807 0.452
F 0.500 0.185 0.298
O 0.000 0.322 0.674
O 0.000 0.309 0.423
O 0.000 0.662 0.073
O 0.000 0.685 0.328
O 0.000 0.744 0.827
O 0.500 0.792 0.955
O 0.000 0.696 0.578
O 0.000 0.290 0.171

- density (g/cm3) = 4.95
- energy of formation (meV/atom) = -1451
- space-group type = No. 6
- offset from the most stable computed form (meV per atom) = 161.3

Entry 3:
Computed, not measured: crystalline Co2O3F at its relaxed geometry at the PBE+U level of DFT.

Lattice parameters (Å, degrees): 5.277 5.277 9.631 69.98 69.98 67.39
Fractional coordinates of all 24 atoms:
Co 0.000 0.000 0.000
Co 0.629 0.121 0.750
Co 0.500 0.500 0.000
Co 0.121 0.629 0.750
Co 0.371 0.879 0.250
Co 0.273 0.273 0.485
Co 0.879 0.371 0.250
Co 0.727 0.727 0.515
F 0.215 0.215 0.857
F 0.043 0.043 0.639
F 0.957 0.957 0.361
F 0.785 0.785 0.143
O 0.450 0.954 0.403
O 0.514 0.514 0.655
O 0.046 0.550 0.597
O 0.486 0.486 0.345
O 0.268 0.268 0.156
O 0.701 0.201 0.903
O 0.299 0.799 0.097
O 0.954 0.450 0.403
O 0.799 0.299 0.097
O 0.550 0.046 0.597
O 0.201 0.701 0.903
O 0.732 0.732 0.844

- density (g/cm3) = 5.44
- energy of formation (meV/atom) = -1290
- space-group type = No. 12
- offset from the most stable computed form (meV per atom) = 24.4

Entry 4:
Computed, not measured: crystalline Co2O3F at its relaxed geometry at the PBE+U level of DFT.

Lattice parameters (Å, degrees): 6.027 6.470 6.787 90.00 63.63 90.00
Fractional coordinates of all 24 atoms:
Co 0.250 0.535 0.499
Co 0.750 0.465 0.499
Co 0.000 0.000 0.500
Co 0.750 0.500 0.999
Co 0.250 0.500 0.999
Co 0.000 0.974 0.000
Co 0.500 0.026 0.000
Co 0.500 0.000 0.500
O 0.653 0.000 0.193
O 0.895 0.500 0.710
O 0.500 0.306 0.000
O 0.153 0.000 0.193
O 0.605 0.500 0.290
O 0.248 0.813 0.505
O 0.395 0.500 0.710
O 0.748 0.187 0.505
O 0.846 0.000 0.807
O 0.000 0.694 0.000
O 0.105 0.500 0.290
O 0.346 0.000 0.807
F 0.252 0.213 0.496
F 0.000 0.278 0.001
F 0.752 0.787 0.496
F 0.500 0.722 0.001

- density (g/cm3) = 5.18
- energy of formation (meV/atom) = -1306
- space-group type = No. 39
- offset from the most stable computed form (meV per atom) = 8.3

Entry 5:
Computed, not measured: crystalline Co3O4F2 at its relaxed geometry at the PBE+U level of DFT.

Lattice parameters (Å, degrees): 5.344 5.344 7.037 71.26 71.26 68.94
Fractional coordinates of all 18 atoms:
Co 0.662 0.662 0.832
Co 0.684 0.684 0.335
Co 0.000 0.000 0.500
Co 0.338 0.338 0.168
Co 0.000 0.000 0.000
Co 0.316 0.316 0.665
F 0.560 0.560 0.643
F 0.240 0.240 0.976
F 0.760 0.760 0.024
F 0.440 0.440 0.357
O 0.696 0.304 0.000
O 0.977 0.367 0.337
O 0.910 0.910 0.293
O 0.304 0.696 0.000
O 0.023 0.633 0.663
O 0.633 0.023 0.663
O 0.367 0.977 0.337
O 0.090 0.090 0.707

- density (g/cm3) = 5.36
- energy of formation (meV/atom) = -1365
- space-group type = No. 12
- offset from the most stable computed form (meV per atom) = 31.0

Entry 6:
Computed, not measured: crystalline Co3OF5 at its relaxed geometry at the PBE+U level of DFT.

Lattice parameters (Å, degrees): 4.729 4.729 9.422 89.21 89.21 91.46
Fractional coordinates of all 18 atoms:
Co 0.976 0.976 0.337
Co 0.503 0.503 0.175
Co 0.497 0.497 0.825
Co 0.500 0.500 0.500
Co 0.024 0.024 0.663
Co 0.000 0.000 0.000
F 0.202 0.798 0.500
F 0.288 0.288 0.340
F 0.795 0.187 0.169
F 0.813 0.205 0.831
F 0.798 0.202 0.500
F 0.712 0.712 0.660
F 0.187 0.795 0.169
F 0.694 0.694 0.998
F 0.205 0.813 0.831
F 0.306 0.306 0.002
O 0.326 0.326 0.647
O 0.674 0.674 0.353

- density (g/cm3) = 4.54
- energy of formation (meV/atom) = -2071
- space-group type = No. 12
- offset from the most stable computed form (meV per atom) = 15.1

Entry 7:
Computed, not measured: crystalline CoOF at its relaxed geometry at the PBE+U level of DFT.

Lattice parameters (Å, degrees): 2.994 4.649 13.876 84.72 90.00 90.00
Fractional coordinates of all 18 atoms:
Co 0.500 0.558 0.833
Co 0.000 0.033 0.667
Co 0.000 0.990 0.334
Co 0.500 0.507 0.499
Co 0.500 0.471 0.168
Co 0.000 0.943 0.001
F 0.500 0.191 0.398
F 0.500 0.165 0.061
F 0.000 0.298 0.898
F 0.500 0.788 0.269
F 0.500 0.235 0.734
F 0.500 0.837 0.601
O 0.000 0.661 0.103
O 0.000 0.284 0.231
O 0.000 0.330 0.565
O 0.000 0.690 0.436
O 0.000 0.731 0.767
O 0.500 0.787 0.935

- density (g/cm3) = 4.87
- energy of formation (meV/atom) = -1611
- space-group type = No. 6
- offset from the most stable computed form (meV per atom) = 1.4

Entry 8:
Computed, not measured: crystalline CoPO4F at its relaxed geometry at the PBE+U level of DFT.

Lattice parameters (Å, degrees): 5.266 5.295 7.391 108.57 107.81 95.60
Fractional coordinates of all 14 atoms:
O 0.789 0.265 0.604
O 0.344 0.290 0.645
O 0.656 0.710 0.355
O 0.696 0.134 0.886
O 0.237 0.373 0.089
O 0.763 0.627 0.911
O 0.211 0.735 0.396
O 0.304 0.866 0.114
F 0.942 0.105 0.273
F 0.058 0.895 0.727
Co 0.000 0.000 0.500
Co 0.000 0.000 0.000
P 0.650 0.329 0.767
P 0.350 0.671 0.233

- density (g/cm3) = 3.16
- energy of formation (meV/atom) = -1941
- space-group type = No. 2

Entry 9:
Computed, not measured: crystalline CoSb2S2O4F12 at its relaxed geometry at the PBE+U level of DFT.

Lattice parameters (Å, degrees): 5.203 15.935 8.780 93.57 91.30 97.95
Fractional coordinates of all 42 atoms:
F 0.778 0.441 0.226
F 0.165 0.171 0.556
F 0.226 0.456 0.396
F 0.222 0.559 0.774
F 0.774 0.044 0.604
F 0.222 0.059 0.774
F 0.835 0.829 0.444
F 0.159 0.725 0.852
F 0.778 0.941 0.226
F 0.835 0.329 0.444
F 0.764 0.099 0.904
F 0.226 0.956 0.395
F 0.774 0.544 0.605
F 0.236 0.401 0.096
F 0.236 0.901 0.096
F 0.717 0.706 0.675
F 0.165 0.671 0.556
F 0.282 0.293 0.325
F 0.159 0.225 0.851
F 0.283 0.794 0.325
F 0.841 0.775 0.148
F 0.718 0.207 0.675
F 0.764 0.599 0.904
F 0.841 0.275 0.149
Sb 0.031 0.869 0.265
Sb 0.969 0.131 0.735
Sb 0.031 0.369 0.265
Sb 0.969 0.631 0.735
O 0.406 0.346 0.647
O 0.247 0.112 0.154
O 0.596 0.654 0.352
O 0.404 0.846 0.648
O 0.248 0.611 0.154
O 0.752 0.889 0.846
O 0.753 0.388 0.846
O 0.594 0.154 0.353
Co 0.500 0.750 0.500
Co 0.500 0.250 0.500
S 0.501 0.399 0.786
S 0.500 0.601 0.214
S 0.500 0.899 0.786
S 0.499 0.101 0.214

- density (g/cm3) = 3.04
- energy of formation (meV/atom) = -2300
- space-group type = No. 2

Entry 10:
Computed, not measured: crystalline CoSiO6F6 at its relaxed geometry at the PBE+U level of DFT.

Lattice parameters (Å, degrees): 5.895 8.573 7.355 90.00 99.99 90.00
Fractional coordinates of all 28 atoms:
F 0.680 0.147 0.592
F 0.320 0.853 0.408
F 0.447 0.544 0.218
F 0.729 0.627 0.032
F 0.447 0.956 0.718
F 0.271 0.373 0.968
F 0.729 0.873 0.532
F 0.680 0.353 0.092
F 0.553 0.456 0.782
F 0.271 0.127 0.468
F 0.320 0.647 0.908
F 0.553 0.044 0.282
O 0.953 0.470 0.732
O 0.047 0.530 0.268
O 0.880 0.322 0.398
O 0.277 0.096 0.033
O 0.880 0.178 0.898
O 0.120 0.678 0.602
O 0.723 0.904 0.967
O 0.120 0.822 0.102
O 0.723 0.596 0.467
O 0.953 0.030 0.232
O 0.277 0.404 0.533
O 0.047 0.970 0.768
Co 0.000 0.500 0.500
Co 0.000 0.000 0.000
Si 0.500 0.500 0.000
Si 0.500 0.000 0.500

- density (g/cm3) = 2.69
- energy of formation (meV/atom) = -1085
- space-group type = No. 14

Entry 11:
Computed, not measured: crystalline CoSnO6F6 at its relaxed geometry at the PBE+U level of DFT.

Lattice parameters (Å, degrees): 7.080 8.480 8.461 98.25 113.34 113.50
Fractional coordinates of all 28 atoms:
F 0.429 0.986 0.702
F 0.440 0.219 0.489
F 0.548 0.504 0.784
F 0.154 0.160 0.669
F 0.846 0.840 0.331
F 0.155 0.665 0.172
F 0.845 0.335 0.828
F 0.423 0.712 0.988
F 0.571 0.014 0.298
F 0.452 0.496 0.216
F 0.577 0.288 0.012
F 0.560 0.781 0.511
O 0.704 0.950 0.944
O 0.963 0.330 0.608
O 0.731 0.488 0.481
O 0.934 0.765 0.964
O 0.939 0.937 0.763
O 0.296 0.050 0.056
O 0.066 0.235 0.036
O 0.269 0.512 0.519
O 0.061 0.063 0.237
O 0.112 0.681 0.707
O 0.888 0.319 0.293
O 0.037 0.670 0.392
Sn 0.501 0.752 0.251
Sn 0.499 0.248 0.749
Co 0.000 0.500 0.500
Co 0.000 0.000 0.000

- density (g/cm3) = 3.22
- energy of formation (meV/atom) = -838
- space-group type = No. 2

Entry 12:
Computed, not measured: crystalline RbCoF3 at its relaxed geometry at the PBE+U level of DFT.

Lattice parameters (Å, degrees): 6.013 6.013 14.723 90.00 90.00 120.00
Fractional coordinates of all 30 atoms:
F 0.835 0.165 0.420
F 0.165 0.331 0.580
F 0.669 0.835 0.920
F 0.518 0.482 0.250
F 0.165 0.331 0.920
F 0.964 0.482 0.250
F 0.835 0.165 0.080
F 0.835 0.669 0.420
F 0.482 0.964 0.750
F 0.835 0.669 0.080
F 0.669 0.835 0.580
F 0.331 0.165 0.420
F 0.482 0.518 0.750
F 0.331 0.165 0.080
F 0.165 0.835 0.580
F 0.165 0.835 0.920
F 0.036 0.518 0.750
F 0.518 0.036 0.250
Rb 0.000 0.000 0.250
Rb 0.667 0.333 0.905
Rb 0.000 0.000 0.750
Rb 0.333 0.667 0.095
Rb 0.667 0.333 0.595
Rb 0.333 0.667 0.405
Co 0.667 0.333 0.154
Co 0.333 0.667 0.654
Co 0.667 0.333 0.346
Co 0.000 0.000 0.500
Co 0.333 0.667 0.846
Co 0.000 0.000 0.000

- density (g/cm3) = 4.35
- energy of formation (meV/atom) = -2626
- space-group type = No. 194